Entry from the Materials Project: an optimized crystal structure of Na4Mg3ZrSiS5O24 (PBE).

Structure (POSCAR):
```
Na4Mg3ZrSiS5O24
1.0
8.8773 -0.0109 -0.0155
-4.4481 7.6943 -0.0014
-0.0398 -0.0266 22.7495
O S Na Zr Mg Si
72 15 12 3 9 3
Direct
0.4702 0.3056 0.7463
0.1574 0.6916 0.7512
0.9963 0.1710 0.9082
0.1624 0.4681 0.2565
0.6472 0.1255 0.1357
0.3006 0.8387 0.9743
0.3368 0.8582 0.5759
0.1878 0.9771 0.1966
0.9801 0.7877 0.8032
0.8085 0.7854 0.3030
0.1277 0.4982 0.8611
0.9947 0.1871 0.5898
0.3521 0.4744 0.3619
0.6889 0.1349 0.0301
0.8279 0.0209 0.0908
0.6265 0.5015 0.6396
0.1715 0.1927 0.4095
0.0214 0.8234 0.4111
0.8055 0.9794 0.4097
0.8523 0.3657 0.9252
0.5487 0.8597 0.4686
0.3833 0.8818 0.8609
0.8465 0.3148 0.2435
0.3202 0.4716 0.7526
0.0127 0.8083 0.6960
0.6861 0.1585 0.7450
0.1950 0.1773 0.0893
0.9779 0.8062 0.0904
0.4681 0.1626 0.2441
0.5496 0.7003 0.9700
0.4877 0.6440 0.5768
0.8744 0.3540 0.6364
0.0292 0.2111 0.1981
0.7973 0.9874 0.6988
0.6415 0.5090 0.9246
0.4755 0.3492 0.1388
0.5119 0.8584 0.0803
0.5121 0.6304 0.8647
0.8690 0.5077 0.4195
0.4556 0.3164 0.0321
0.7854 0.8079 0.1971
0.1352 0.6468 0.0831
0.8659 0.5202 0.1355
0.1588 0.9780 0.9081
0.5239 0.6788 0.2554
0.7995 0.8168 0.9077
0.4842 0.1132 0.6371
0.5233 0.8777 0.3624
0.3087 0.4515 0.4689
0.6487 0.1366 0.4206
0.2106 0.1955 0.8027
0.8498 0.3007 0.5309
0.6795 0.5240 0.2445
0.8422 0.5270 0.7452
0.9767 0.1880 0.3034
0.1342 0.6509 0.3657
0.8638 0.5525 0.0297
0.3146 0.8467 0.2562
0.8475 0.8192 0.5872
0.8008 0.0177 0.8056
0.6943 0.5327 0.5278
0.1410 0.6872 0.4725
0.2107 0.0292 0.3021
0.1731 0.4486 0.9732
0.4853 0.3486 0.4207
0.1935 0.2087 0.6952
0.4617 0.1476 0.5318
0.4998 0.1599 0.9241
0.2059 0.0360 0.5901
0.3585 0.4953 0.0821
0.5317 0.8416 0.7517
0.1293 0.4970 0.5766
0.0008 0.2927 0.2504
0.9924 0.7047 0.7488
0.9602 0.3330 0.5848
0.6298 0.9581 0.4148
0.0485 0.6736 0.4167
0.3679 0.3356 0.0873
0.3238 0.3683 0.4148
0.3747 0.0385 0.5851
0.6674 0.0301 0.0871
0.2923 0.0003 0.2498
0.2973 0.2914 0.7487
0.7084 0.0049 0.7498
0.9637 0.6338 0.0868
0.6244 0.6678 0.9181
0.7043 0.7041 0.2500
0.0207 0.6970 0.5830
0.9668 0.9812 0.4986
0.6993 0.0299 0.9099
0.3621 0.3626 0.2499
0.3689 0.6801 0.6612
0.9923 0.6774 0.9178
0.6663 0.3221 0.8244
0.0176 0.0146 0.0022
0.6815 0.3276 0.3276
0.3064 0.2858 0.9181
0.3190 0.3456 0.5889
0.3304 0.6792 0.1661
0.6671 0.3249 0.9856
0.3236 0.6710 0.8140
0.6702 0.3444 0.4798
0.3161 0.6600 0.0189
0.3353 0.6778 0.3153
0.9941 0.9959 0.3487
0.6747 0.3330 0.1846
0.3528 0.6760 0.5149
0.6607 0.3371 0.6836
0.9831 0.9921 0.6489
0.9973 0.9957 0.1519
0.0062 0.0079 0.8488
0.3282 0.9589 0.9192
0.6644 0.6358 0.5869
0.0413 0.3683 0.9194
```

The space group is P1 (1). The calculation puts the total magnetization at 0.00 μB per cell. The calculation puts the formation energy at -2.468 eV per atom.

Entry from the Materials Project: an optimized crystal structure of SnS (PBE).

Structure (POSCAR):
```
SnS
1.0
-0.7248 -3.7701 -1.5441
1.6439 -3.3326 1.8206
-2.4299 -2.6452 2.0546
S Sn
1 1
Direct
0.0000 0.0000 0.0000
0.5000 0.5000 0.5000
```

The space group is Fm-3m (225). The calculation puts the formation energy at -0.650 eV per atom.

Entry from the Materials Project: an optimized crystal structure of U2InNi2 (PBE).

Structure (POSCAR):
```
U2InNi2
1.0
7.1881 0.0000 0.0000
0.0000 7.1881 0.0000
0.0000 0.0000 3.7292
Ni U In
4 4 2
Direct
0.6318 0.8682 0.0000
0.3682 0.1318 0.0000
0.1318 0.6318 0.0000
0.8682 0.3682 0.0000
0.8367 0.6633 0.5000
0.1633 0.3367 0.5000
0.6633 0.1633 0.5000
0.3367 0.8367 0.5000
0.5000 0.5000 0.0000
0.0000 0.0000 0.0000
```

The space group is P4/mbm (127). The calculation puts the total magnetization at 7.42 μB per cell. The calculation puts the formation energy at -0.050 eV per atom.

Entry from the Materials Project: an optimized crystal structure of Ca3YGa3B4O15 (PBE).

Structure (POSCAR):
```
Ca3YGa3B4O15
1.0
11.9247 0.0000 0.0000
0.0000 10.6481 0.0000
0.0000 5.3219 9.2438
O Ca B Ga Y
60 12 16 12 4
Direct
0.1030 0.5196 0.3064
0.0000 0.3294 0.5957
0.1033 0.1714 0.5388
0.5000 0.0786 0.3474
0.7500 0.5199 0.1079
0.2506 0.4133 0.9262
0.3653 0.1425 0.9225
0.0000 0.4763 0.9137
0.3528 0.8127 0.5006
0.0000 0.9017 0.6360
0.2505 0.6627 0.4284
0.5000 0.3319 0.5942
0.7495 0.3740 0.5318
0.2505 0.3740 0.5318
0.5000 0.4759 0.9103
0.3638 0.9397 0.1620
0.1512 0.6984 0.8355
0.2500 0.5199 0.1079
0.6472 0.8127 0.5006
0.0000 0.6150 0.4811
0.8668 0.9298 0.1591
0.6029 0.2923 0.1831
0.5000 0.6173 0.4858
0.6379 0.9020 0.9596
0.3621 0.9020 0.9596
0.2519 0.9179 0.6796
0.8504 0.8175 0.4950
0.5000 0.5789 0.0906
0.6467 0.4774 0.7072
0.8500 0.4706 0.7084
0.8972 0.2920 0.1858
0.8488 0.6984 0.8355
0.8970 0.5196 0.3064
0.1500 0.4706 0.7084
0.1332 0.9298 0.1591
0.7495 0.0939 0.3882
0.6461 0.6950 0.8288
0.2505 0.0939 0.3882
0.0000 0.0771 0.3488
0.1276 0.9105 0.9458
0.0000 0.5873 0.0881
0.1337 0.1428 0.9262
0.6362 0.9397 0.1620
0.8663 0.1428 0.9262
0.7481 0.9179 0.6796
0.3971 0.2923 0.1831
0.1028 0.2920 0.1858
0.8967 0.1714 0.5388
0.7495 0.6627 0.4284
0.3533 0.4774 0.7072
0.6347 0.1425 0.9225
0.7494 0.4133 0.9262
0.1496 0.8175 0.4950
0.3539 0.6950 0.8288
0.8724 0.9105 0.9458
0.3970 0.1724 0.5388
0.6030 0.1724 0.5388
0.6028 0.5235 0.3060
0.3972 0.5235 0.3060
0.5000 0.9000 0.6319
0.7497 0.1173 0.7496
0.2489 0.1412 0.1287
0.5000 0.8228 0.8791
0.7502 0.7316 0.1648
0.5000 0.8655 0.3217
0.5000 0.3044 0.8364
0.2503 0.1173 0.7496
0.0000 0.3095 0.8343
0.0000 0.8608 0.3248
0.7511 0.1412 0.1287
0.2498 0.7316 0.1648
0.0000 0.6611 0.6716
0.7472 0.7688 0.7829
0.0000 0.2215 0.5564
0.5000 0.2233 0.5559
0.2528 0.7688 0.7829
0.0000 0.2234 0.2382
0.2506 0.7662 0.4749
0.5000 0.5409 0.2373
0.5000 0.2241 0.2358
0.1253 0.9956 0.0113
0.0000 0.5410 0.2377
0.3701 0.9947 0.0148
0.6299 0.9947 0.0148
0.7494 0.7662 0.4749
0.2510 0.4537 0.7778
0.7490 0.4537 0.7778
0.8747 0.9956 0.0113
0.8743 0.4960 0.5088
0.1272 0.9960 0.5147
0.6259 0.4978 0.5075
0.1257 0.4960 0.5088
0.6261 0.4948 0.0094
0.3738 0.9980 0.5143
0.3741 0.4978 0.5075
0.1286 0.4919 0.0079
0.3739 0.4948 0.0094
0.6262 0.9980 0.5143
0.8714 0.4919 0.0079
0.8728 0.9960 0.5147
0.2495 0.3297 0.3422
0.0000 0.8142 0.8755
0.7505 0.3297 0.3422
0.5000 0.6641 0.6765
```

The space group is Pm (6). The calculation puts the total magnetization at 0.00 μB per cell. The calculation puts the formation energy at -2.993 eV per atom.